Density functional theory data (PBE-GGA) for LaAl2Ag3 after structural relaxation.

The total magnetization is 0.0 μB/f.u. The total energy is -3.759 eV per atom.

The space group is P6/mmm (No. 191) and the conventional cell measures 5.8082, 5.8082 and 4.2653 Å, with angles of 90.00, 90.00 and 120.00 degrees. The inequivalent atoms are La at (0.0000, 0.0000, 0.0000), Al at (0.3333, 0.6667, 0.0000) and Ag at (0.0000, 0.5000, 0.5000).

---

Density functional theory data (PBE-GGA) for CdGe3 after structural relaxation.

Its relative energy among the computed polymorphs is 0.000 eV per atom. The total magnetization is 0.0 μB/f.u.

The space group is I4/mmm (No. 139) and the conventional cell measures 4.229, 4.229 and 9.313 Å, with angles of 90.00, 90.00 and 90.00 degrees. The inequivalent atoms are Cd at (0.000, 0.000, 0.000), Ge at (0.000, 0.000, 0.500) and Ge at (0.000, 0.500, 0.250).

---

Density functional theory data (PBE-GGA) for CeMg2 after structural relaxation.

The total energy is -3.040 eV per atom.

The space group is C2/m (No. 12) and the conventional cell measures 11.476, 3.210 and 8.340 Å, with angles of 90.00, 103.72 and 90.00 degrees. The inequivalent atoms are Ce at (0.145, 0.000, 0.027), Mg at (0.028, 0.500, 0.317) and Mg at (0.191, 0.000, 0.627).

---

Density functional theory data (PBE-GGA) for GaRu after structural relaxation.

The total energy is -6.452 eV per atom.

The space group is Pm-3m (No. 221) and the conventional cell measures 3.030, 3.030 and 3.030 Å, with angles of 90.00, 90.00 and 90.00 degrees. The inequivalent atoms are Ga at (0.000, 0.000, 0.000) and Ru at (0.500, 0.500, 0.500).